Te2MoWS2 | PBE-GGA | optimized geometry

```
Te2MoWS2
1.0
1.681 -2.911 0.000
1.681 2.911 0.000
0.000 0.000 38.306
S Te Mo W
4 4 2 2
direct
0.333 0.667 0.133
0.333 0.667 0.430
0.333 0.667 0.054
0.333 0.667 0.509
0.000 0.000 0.707
0.000 0.000 0.331
0.000 0.000 0.232
0.000 0.000 0.608
0.333 0.667 0.658
0.000 0.000 0.094
0.333 0.667 0.282
0.000 0.000 0.470
```

Output
- Offset from the most stable computed form: 36 meV/atom
- E_form: -0.597 eV per atom
- Final energy: -6.823 eV/atom

Ba2In2O5 | PBE-GGA | optimized geometry

```
Ba2In2O5
1.0
-3.032 3.032 4.351
3.032 -3.032 4.351
3.032 3.032 -4.351
Ba O In
2 5 2
direct
0.000 0.500 0.500
0.500 0.000 0.500
0.500 0.500 0.500
0.000 0.500 0.000
0.500 0.500 0.000
0.500 0.000 0.000
0.000 0.000 0.500
0.269 0.269 0.000
0.731 0.731 0.000
```

Output
- E_form: -2.272 eV per atom
- Final energy: -5.677 eV/atom

K2Nb3Se6 | PBE-GGA | optimized geometry

```
K2Nb3Se6
1.0
-2.635 5.171 -2.091
1.773 -0.392 5.895
15.047 5.999 -4.128
Nb Se K
6 12 4
direct
0.333 0.667 0.250
0.999 0.999 0.250
0.999 0.999 0.750
0.333 0.667 0.750
0.667 0.333 0.750
0.667 0.333 0.250
0.664 0.664 0.348
0.664 0.664 0.652
0.002 0.334 0.348
0.334 0.002 0.348
0.331 0.000 0.152
0.000 0.331 0.848
0.669 0.669 0.152
0.669 0.669 0.848
0.000 0.331 0.152
0.334 0.002 0.652
0.331 0.000 0.848
0.002 0.334 0.652
0.000 0.667 0.500
0.667 0.000 0.500
0.667 0.333 0.000
0.333 0.667 0.000
```

Output
- E_form: -1.285 eV per atom
- Final energy: -5.891 eV/atom

LiCuPO4 | PBE-GGA | optimized geometry

```
LiCuPO4
1.0
4.954 0.000 0.000
0.000 6.091 0.000
0.000 0.000 10.972
O Li P Cu
16 4 4 4
direct
0.885 0.019 0.647
0.810 0.782 0.412
0.408 0.557 0.346
0.894 0.252 0.452
0.310 0.218 0.588
0.408 0.943 0.846
0.908 0.443 0.654
0.310 0.282 0.088
0.885 0.481 0.147
0.908 0.057 0.154
0.394 0.748 0.548
0.894 0.248 0.952
0.810 0.718 0.912
0.385 0.981 0.353
0.385 0.519 0.853
0.394 0.752 0.048
0.992 0.725 0.570
0.492 0.225 0.930
0.992 0.775 0.070
0.492 0.275 0.430
0.997 0.231 0.586
0.497 0.769 0.414
0.997 0.269 0.086
0.497 0.731 0.914
0.985 0.474 0.827
0.485 0.526 0.173
0.985 0.026 0.327
0.485 0.974 0.673
```

Output
- Offset from the most stable computed form: 48 meV/atom
- E_form: -2.149 eV per atom
- Final energy: -6.216 eV/atom

Zr5N5O2 | PBE-GGA | optimized geometry

```
Zr5N5O2
1.0
1.558 5.302 0.000
-1.558 5.302 0.000
0.000 2.491 8.917
N O Zr
5 2 5
direct
0.272 0.272 0.848
0.347 0.347 0.551
0.745 0.745 0.143
0.660 0.660 0.442
0.513 0.513 0.988
0.051 0.051 0.707
0.960 0.960 0.282
0.707 0.707 0.690
0.896 0.896 0.918
0.121 0.121 0.071
0.004 0.004 0.495
0.301 0.301 0.307
```

Output
- E_form: -2.057 eV per atom
- Final energy: -9.802 eV/atom

Sr2PrCu2Bi2O8 | PBE-GGA | optimized geometry

```
Sr2PrCu2Bi2O8
1.0
-1.917 1.917 15.375
1.917 -1.917 15.375
1.917 1.917 -15.375
O Pr Cu Bi Sr
8 1 2 2 2
direct
0.553 0.053 0.500
0.447 0.947 0.500
0.203 0.203 0.000
0.636 0.636 0.000
0.797 0.797 0.000
0.364 0.364 0.000
0.053 0.553 0.500
0.947 0.447 0.500
0.000 0.000 0.000
0.445 0.445 0.000
0.555 0.555 0.000
0.705 0.705 0.000
0.295 0.295 0.000
0.116 0.116 0.000
0.884 0.884 0.000
```

Output
- E_form: -2.117 eV per atom
- Final energy: -5.998 eV/atom

Sr2Mg | PBE-GGA | optimized geometry

```
Sr2Mg
1.0
-2.866 -1.412 -2.768
0.577 -2.027 3.665
-12.266 10.126 7.532
Mg Sr
2 4
direct
0.333 0.667 0.052
0.667 0.333 0.948
0.667 0.333 0.597
0.667 0.333 0.203
0.333 0.667 0.403
0.333 0.667 0.797
```

Output
- E_form: 0.106 eV per atom
- Final energy: -1.554 eV/atom

HfMg6Si | PBE-GGA | optimized geometry

```
HfMg6Si
1.0
4.822 0.000 0.000
0.000 6.402 0.000
0.000 0.000 10.831
Mg Hf Si
12 2 2
direct
0.000 0.000 0.332
0.000 0.253 0.584
0.500 0.000 0.167
0.000 0.500 0.832
0.500 0.749 0.418
0.000 0.753 0.084
0.500 0.751 0.918
0.500 0.249 0.918
0.000 0.747 0.584
0.000 0.247 0.084
0.500 0.500 0.667
0.500 0.251 0.418
0.500 0.000 0.678
0.500 0.500 0.178
0.000 0.000 0.817
0.000 0.500 0.317
```

Output
- E_form: 0.072 eV per atom
- Final energy: -3.060 eV/atom

Mg3Mn | PBE-GGA | optimized geometry

```
Mg3Mn
1.0
-1.973 2.173 0.982
1.133 -1.071 4.646
3.896 3.594 -0.122
Mg Mn
3 1
direct
0.500 0.500 0.324
0.500 0.000 0.666
0.000 0.500 0.842
0.000 0.000 0.168
```

Output
- E_form: 0.194 eV per atom
- Final energy: -3.297 eV/atom

K3UF3 | PBE-GGA | optimized geometry

```
K3UF3
1.0
6.639 0.000 0.000
-0.188 6.666 0.000
-3.197 -3.282 5.297
K U F
3 1 3
direct
0.242 0.801 0.528
0.752 0.240 0.505
0.523 0.510 0.013
0.979 0.016 0.002
0.681 0.132 0.814
0.889 0.899 0.216
0.228 0.148 0.923
```

Output
- E_form: -2.026 eV per atom
- Final energy: -4.737 eV/atom

KZnP3O9 | PBE-GGA | optimized geometry

```
KZnP3O9
1.0
-1.684 4.593 -4.565
-0.580 1.392 6.519
9.371 3.518 0.082
K O P Zn
2 18 6 2
direct
0.000 0.000 0.000
0.000 0.000 0.500
0.664 0.072 0.121
0.572 0.857 0.750
0.928 0.336 0.621
0.407 0.336 0.121
0.928 0.593 0.121
0.664 0.593 0.879
0.572 0.714 0.250
0.664 0.072 0.379
0.664 0.593 0.621
0.143 0.714 0.750
0.407 0.072 0.621
0.928 0.593 0.379
0.407 0.336 0.379
0.286 0.857 0.250
0.928 0.336 0.879
0.407 0.072 0.879
0.286 0.428 0.750
0.143 0.428 0.250
0.050 0.609 0.250
0.559 0.609 0.750
0.391 0.441 0.250
0.391 0.950 0.750
0.050 0.441 0.750
0.559 0.950 0.250
0.667 0.333 0.500
0.667 0.333 0.000
```

Output
- E_form: -2.562 eV per atom
- Final energy: -6.631 eV/atom

ScO2 | PBE-GGA | optimized geometry

```
ScO2
1.0
-1.330 -2.876 -0.870
3.861 -1.959 0.573
-1.177 -0.911 4.811
O Sc
4 2
direct
0.500 0.728 0.369
0.000 0.772 0.869
0.000 0.228 0.131
0.500 0.272 0.631
0.000 0.000 0.500
0.500 0.500 0.000
```

Output
- E_form: -3.033 eV per atom
- Final energy: -7.984 eV/atom

BaMgCuS2 | PBE-GGA | optimized geometry

```
BaMgCuS2
1.0
6.280 0.000 0.000
0.000 4.838 0.000
0.000 0.000 4.838
S Mg Ba Cu
2 1 1 1
direct
0.000 0.000 0.500
0.000 0.500 0.000
0.000 0.500 0.500
0.500 0.500 0.500
0.000 0.000 0.000
```

Output
- Offset from the most stable computed form: 523 meV/atom
- E_form: -0.626 eV per atom
- Final energy: -3.603 eV/atom

BaSn3Au | PBE-GGA | optimized geometry

```
BaSn3Au
1.0
-0.447 4.923 -1.278
-3.930 0.480 3.224
5.764 -1.300 3.176
Sn Au Ba
3 1 1
direct
0.601 0.601 0.202
0.749 0.249 0.498
0.249 0.749 0.498
0.358 0.358 0.717
0.000 0.000 0.001
```

Output
- E_form: -0.503 eV per atom
- Final energy: -3.947 eV/atom

Mg9Si5 | PBE-GGA | optimized geometry

```
Mg9Si5
1.0
-6.310 -2.151 10.962
-0.372 -6.195 11.230
-0.023 0.811 12.805
Mg Si
18 10
direct
0.750 0.496 0.004
0.496 0.004 0.750
0.112 0.325 0.651
0.888 0.675 0.349
0.349 0.888 0.675
0.151 0.825 0.612
0.004 0.750 0.496
0.325 0.651 0.112
0.996 0.250 0.504
0.612 0.151 0.825
0.849 0.175 0.388
0.250 0.504 0.996
0.175 0.388 0.849
0.675 0.349 0.888
0.651 0.112 0.325
0.388 0.849 0.175
0.825 0.612 0.151
0.504 0.996 0.250
0.421 0.421 0.421
0.500 0.500 0.500
0.079 0.079 0.079
0.000 0.000 0.000
0.693 0.693 0.693
0.307 0.307 0.307
0.193 0.193 0.193
0.807 0.807 0.807
0.579 0.579 0.579
0.921 0.921 0.921
```

Output
- Offset from the most stable computed form: 15 meV/atom
- E_form: -0.069 eV per atom
- Final energy: -3.060 eV/atom

Ho2Bi2O7 | PBE-GGA | optimized geometry

```
Ho2Bi2O7
1.0
-2.081 0.518 7.411
-6.309 3.982 1.965
-6.278 -3.714 2.512
Ho Bi O
4 4 14
direct
0.125 0.125 0.125
0.125 0.125 0.625
0.125 0.625 0.125
0.625 0.125 0.125
0.625 0.625 0.125
0.625 0.625 0.625
0.625 0.125 0.625
0.125 0.625 0.625
0.272 0.728 0.272
0.522 0.978 0.522
0.978 0.522 0.522
0.728 0.728 0.272
0.000 0.000 0.000
0.522 0.522 0.978
0.978 0.522 0.978
0.522 0.978 0.978
0.978 0.978 0.522
0.728 0.272 0.728
0.272 0.728 0.728
0.728 0.272 0.272
0.272 0.272 0.728
0.250 0.250 0.250
```

Output
- E_form: -2.536 eV per atom
- Final energy: -6.788 eV/atom

SrHfMg6O8 | PBE-GGA | optimized geometry

```
SrHfMg6O8
1.0
-8.725 -0.485 2.159
0.805 -3.799 2.400
0.782 2.519 3.726
Sr Mg O Hf
1 6 8 1
direct
0.000 0.000 0.000
0.500 0.500 0.500
0.250 0.000 0.500
0.250 0.500 0.000
0.750 0.000 0.500
0.750 0.500 0.000
0.000 0.500 0.500
0.249 0.500 0.500
0.751 0.500 0.500
0.732 0.000 0.000
0.268 0.000 0.000
0.000 0.500 0.000
0.500 0.000 0.500
0.000 0.000 0.500
0.500 0.500 0.000
0.500 0.000 0.000
```

Output
- Offset from the most stable computed form: 41 meV/atom
- E_form: -2.692 eV per atom
- Final energy: -6.151 eV/atom